Gd3GaO6: relaxed, PBE.

a = 9.056 Å, b = 11.356 Å, c = 5.519 Å
α = 90.00°, β = 90.00°, γ = 90.00°
Space group Cmc2_1 (No. 36)
Asymmetric unit:
1 Gd 0.000 0.103 0.000
2 Gd 0.193 0.394 0.955
3 Ga 0.000 0.307 0.422
4 O 0.000 0.285 0.756
5 O 0.000 0.460 0.285
6 O 0.157 0.237 0.248
7 O 0.160 0.015 0.726

MP2020-corrected energy: -440.35 eV for the cell shown